# 1
VASP calculation (PBE-GGA) on an optimized crystal structure of Hf2P2O9.

**Energy above the most stable polymorph in this dataset**: 0.0 meV/atom
**Calculated volume**: 13.32 A^3/atom
**E_form**: -3398 meV per atom

```
26
Lattice="6.903 -3.312 0.000 6.903 3.312 0.000 -6.770 0.000 7.576" Properties=species:S:1:pos:R:3 pbc="T T T"
Hf -1.946 0.000 3.055
Hf -1.496 0.000 6.547
Hf 8.532 0.000 1.028
Hf 8.982 0.000 4.521
P 2.072 0.000 0.316
P 1.128 0.000 5.028
P 5.909 0.000 2.547
P 4.964 0.000 7.260
O -1.473 2.051 6.507
O -5.330 0.000 6.478
O -2.865 0.000 4.969
O 1.855 1.256 4.572
O -0.359 0.000 4.513
O 3.617 0.000 0.182
O 8.509 2.051 1.069
O 5.182 1.256 3.004
O 0.812 0.000 6.567
O 6.224 0.000 1.009
O 1.855 -1.256 4.572
O -1.473 -2.051 6.507
O 3.419 0.000 7.394
O 7.396 0.000 3.063
O 5.182 -1.256 3.004
O 9.901 0.000 2.607
O 12.366 0.000 1.097
O 8.509 -2.051 1.069
```


# 2
VASP calculation (PBE-GGA) on an optimized crystal structure of HfP2O10.

**Calculated volume**: 16.79 A^3/atom
**Spin magnetization**: 8.00 Bohr magnetons per cell
**E_form**: -2032 meV per atom

```
26
Lattice="5.404 0.000 0.000 0.000 6.636 0.000 -1.941 0.000 12.172" Properties=species:S:1:pos:R:3 pbc="T T T"
Hf 0.323 0.000 4.503
Hf 3.139 3.318 7.669
P 0.460 3.325 5.388
P 0.387 3.675 9.951
P 3.075 0.356 2.221
P 3.002 0.007 6.784
O -0.687 3.318 6.419
O -0.974 3.393 9.337
O 1.009 1.820 0.123
O 0.350 4.583 4.503
O 0.366 2.068 4.502
O 1.285 3.084 1.659
O 0.402 5.171 10.422
O 1.922 0.014 3.147
O 0.631 2.914 11.298
O 1.654 0.014 6.036
O 1.809 3.333 6.136
O 2.831 6.232 0.874
O 1.541 3.332 9.025
O 3.060 1.853 1.750
O 2.178 6.402 10.513
O 3.097 5.386 7.671
O 3.113 1.265 7.669
O 2.453 5.139 12.049
O 4.437 0.074 2.835
O 4.150 0.000 5.753
```


Q: Number 1 is which compound?
A: Hf2P2O9


Q: Which of these has the lowest E_form?
A: Hf2P2O9